Computed, not measured: an optimized crystal structure of Tm4CdIr at the PBE-GGA level of DFT.

Properties
- Symmetry: F-43m, No. 216

Unit cell a=9.5283 b=9.5283 c=9.5283 alpha=60.00 beta=60.00 gamma=60.00
Atoms (fractional coordinates):
1 Tm 0.5989 0.5989 0.5989
2 Tm 0.5989 0.5989 0.2034
3 Tm 0.5989 0.2034 0.5989
4 Tm 0.2034 0.5989 0.5989
5 Tm 0.0605 0.4395 0.4395
6 Tm 0.4395 0.0605 0.0605
7 Tm 0.4395 0.0605 0.4395
8 Tm 0.0605 0.4395 0.0605
9 Tm 0.4395 0.4395 0.0605
10 Tm 0.0605 0.0605 0.4395
11 Tm 0.1875 0.8125 0.8125
12 Tm 0.8125 0.1875 0.1875
13 Tm 0.8125 0.1875 0.8125
14 Tm 0.1875 0.8125 0.1875
15 Tm 0.8125 0.8125 0.1875
16 Tm 0.1875 0.1875 0.8125
17 Cd 0.8316 0.8316 0.8316
18 Cd 0.8316 0.8316 0.5053
19 Cd 0.8316 0.5053 0.8316
20 Cd 0.5053 0.8316 0.8316
21 Ir 0.3919 0.3919 0.3919
22 Ir 0.3919 0.3919 0.8244
23 Ir 0.3919 0.8244 0.3919
24 Ir 0.8244 0.3919 0.3919

***

Computed, not measured: an optimized crystal structure of K3AlCl6 at the PBE-GGA level of DFT.

Properties
- Total moment: 0.00 μB/cell
- Symmetry: Fm-3m, No. 225

Unit cell a=7.5008 b=7.5008 c=7.5008 alpha=60.00 beta=60.00 gamma=60.00
Atoms (fractional coordinates):
1 K 0.7500 0.7500 0.7500
2 K 0.2500 0.2500 0.2500
3 K 0.5000 0.5000 0.5000
4 Al 0.0000 0.0000 0.0000
5 Cl 0.7794 0.2206 0.2206
6 Cl 0.2206 0.2206 0.7794
7 Cl 0.2206 0.7794 0.7794
8 Cl 0.2206 0.7794 0.2206
9 Cl 0.7794 0.2206 0.7794
10 Cl 0.7794 0.7794 0.2206

***

Computed, not measured: an optimized crystal structure of MgSb2P2H2O10 at the PBE-GGA level of DFT.

Properties
- Total moment: 0.00 μB/cell
- Polymorph energy (0 for the lowest one): 30 meV per atom
- Symmetry: P1, No. 1

Unit cell a=5.8507 b=8.7840 c=5.5409 alpha=109.27 beta=97.65 gamma=111.90
Atoms (fractional coordinates):
1 Mg 0.4545 0.4248 0.2810
2 Sb 0.9917 0.4874 0.9492
3 Sb 0.0031 0.9814 0.0210
4 P 0.3369 0.2558 0.6668
5 P 0.6524 0.7770 0.3552
6 H 0.9997 0.2722 0.3358
7 H 0.9951 0.6583 0.6489
8 O 0.0995 0.6853 0.8274
9 O 0.1386 0.3411 0.6850
10 O 0.3557 0.6272 0.2539
11 O 0.2021 0.0644 0.4422
12 O 0.4376 0.2553 0.9357
13 O 0.6895 0.8566 0.1411
14 O 0.7117 0.9182 0.6352
15 O 0.5639 0.3785 0.5937
16 O 0.7892 0.6540 0.3510
17 O 0.0430 0.2457 0.1646

***

Computed, not measured: an optimized crystal structure of BaCaCeNbO6 at the PBE-GGA level of DFT.

Properties
- Total moment: 2.00 μB/cell
- Polymorph energy (0 for the lowest one): 2 meV per atom
- Symmetry: P-1, No. 2

Unit cell a=5.9569 b=6.0298 c=8.5023 alpha=90.50 beta=90.42 gamma=90.25
Atoms (fractional coordinates):
1 Ba 0.5051 0.5338 0.2507
2 Ba 0.4949 0.4662 0.7493
3 Ca 0.9896 0.0445 0.2536
4 Ca 0.0104 0.9555 0.7464
5 Ce 0.0000 0.5000 0.0000
6 Ce 0.5000 0.0000 0.5000
7 Nb 0.5000 0.0000 0.0000
8 Nb 0.0000 0.5000 0.5000
9 O 0.2229 0.1880 0.9405
10 O 0.2735 0.6991 0.5328
11 O 0.7771 0.8120 0.0595
12 O 0.7265 0.3009 0.4672
13 O 0.3048 0.7292 0.9589
14 O 0.1818 0.2177 0.5554
15 O 0.6952 0.2708 0.0411
16 O 0.8182 0.7823 0.4446
17 O 0.3922 0.9983 0.2317
18 O 0.0663 0.4431 0.2664
19 O 0.6078 0.0017 0.7683
20 O 0.9337 0.5569 0.7336

***

Computed, not measured: an optimized crystal structure of NaGdCl4 at the PBE-GGA level of DFT.

Properties
- Symmetry: P-1, No. 2

Unit cell a=6.7781 b=6.8381 c=7.0912 alpha=89.30 beta=87.71 gamma=78.11
Atoms (fractional coordinates):
1 Na 0.7671 0.8051 0.4657
2 Na 0.2329 0.1949 0.5343
3 Gd 0.7892 0.3004 0.0541
4 Gd 0.2108 0.6996 0.9459
5 Cl 0.6084 0.2040 0.3651
6 Cl 0.9565 0.4970 0.7568
7 Cl 0.5644 0.6855 0.1199
8 Cl 0.3916 0.7960 0.6349
9 Cl 0.4356 0.3145 0.8801
10 Cl 0.9061 0.9982 0.7922
11 Cl 0.0939 0.0018 0.2078
12 Cl 0.0435 0.5030 0.2432

***

Computed, not measured: an optimized crystal structure of Na6CaHf7P12O48 at the PBE-GGA level of DFT.

Properties
- Total moment: 0.00 μB/cell
- Symmetry: P1, No. 1

Unit cell a=17.9225 b=8.9501 c=22.9408 alpha=90.03 beta=89.95 gamma=119.95
Atoms (fractional coordinates):
1 Na 0.6886 0.3710 0.2432
2 Na 0.9954 0.6256 0.2435
3 Na 0.9945 0.3626 0.7398
4 Na 0.4947 0.3627 0.7399
5 Na 0.1885 0.0068 0.7397
6 Na 0.6887 0.0073 0.7398
7 Na 0.0000 0.9996 0.5012
8 Na 0.5004 0.0003 0.5011
9 Na 0.9982 0.9962 0.0031
10 Na 0.5023 0.0048 0.0023
11 Na 0.3330 0.3510 0.8304
12 Na 0.8328 0.3511 0.8322
13 Na 0.3332 0.3343 0.3368
14 Na 0.8330 0.3124 0.3322
15 Na 0.1722 0.6636 0.1653
16 Na 0.6716 0.6929 0.1638
17 Na 0.1768 0.6640 0.6573
18 Na 0.6769 0.6644 0.6573
19 Ca 0.3331 0.3436 0.6808
20 Ca 0.8329 0.3436 0.6809
21 Ca 0.8328 0.3220 0.1823
22 Hf 0.0025 0.0048 0.3554
23 Hf 0.4963 0.9959 0.3552
24 Hf 0.9989 0.9978 0.8580
25 Hf 0.4993 0.9978 0.8572
26 Hf 0.9982 0.9966 0.6439
27 Hf 0.4986 0.9965 0.6439
28 Hf 0.9982 0.0023 0.1456
29 Hf 0.5004 0.9983 0.1454
30 Hf 0.3335 0.3343 0.1871
31 Hf 0.3331 0.3317 0.9797
32 Hf 0.8339 0.3331 0.9836
33 Hf 0.3334 0.3332 0.4836
34 Hf 0.8334 0.3343 0.4823
35 Hf 0.1678 0.6683 0.0208
36 Hf 0.6642 0.6627 0.0192
37 Hf 0.1655 0.6671 0.5168
38 Hf 0.6658 0.6667 0.5163
39 Hf 0.1704 0.6666 0.3137
40 Hf 0.6655 0.6718 0.3146
41 Hf 0.1689 0.6657 0.8154
42 Hf 0.6693 0.6668 0.8155
43 P 0.1445 0.9990 0.2499
44 P 0.6413 0.9944 0.2517
45 P 0.3552 0.7108 0.2497
46 P 0.8543 0.7170 0.2515
47 P 0.0038 0.2944 0.2519
48 P 0.4996 0.2882 0.2503
49 P 0.1409 0.2874 0.7524
50 P 0.6413 0.2883 0.7521
51 P 0.0026 0.7142 0.7529
52 P 0.5027 0.7136 0.7527
53 P 0.3544 0.9919 0.7518
54 P 0.8546 0.9921 0.7519
55 P 0.4842 0.3345 0.5852
56 P 0.9835 0.3345 0.5850
57 P 0.1836 0.0327 0.5856
58 P 0.6840 0.0331 0.5852
59 P 0.3324 0.6341 0.5819
60 P 0.8323 0.6335 0.5817
61 P 0.4776 0.6223 0.0830
62 P 0.9832 0.6345 0.0855
63 P 0.3337 0.0442 0.0837
64 P 0.8332 0.0316 0.0818
65 P 0.1890 0.3344 0.0837
66 P 0.6827 0.3305 0.0850
67 P 0.3125 0.6642 0.9185
68 P 0.8114 0.6610 0.9183
69 P 0.0205 0.3780 0.9174
70 P 0.5187 0.3755 0.9152
71 P 0.1687 0.9597 0.9163
72 P 0.6688 0.9618 0.9169
73 P 0.3115 0.9623 0.4163
74 P 0.8130 0.9621 0.4162
75 P 0.1695 0.3758 0.4169
76 P 0.6679 0.3743 0.4139
77 P 0.0193 0.6613 0.4137
78 P 0.5177 0.6627 0.4165
79 O 0.1029 0.0212 0.3055
80 O 0.5903 0.0051 0.3044
81 O 0.4073 0.7945 0.3053
82 O 0.9110 0.8155 0.3044
83 O 0.4860 0.1770 0.3048
84 O 0.0010 0.1897 0.3061
85 O 0.0921 0.1814 0.8068
86 O 0.5922 0.1819 0.8065
87 O 0.4977 0.8087 0.8074
88 O 0.9979 0.8098 0.8076
89 O 0.4076 0.0027 0.8061
90 O 0.9078 0.0029 0.8063
91 O 0.3992 0.9770 0.6962
92 O 0.8992 0.9768 0.6963
93 O 0.0858 0.1997 0.6974
94 O 0.5858 0.1998 0.6973
95 O 0.0127 0.8237 0.6979
96 O 0.5125 0.8232 0.6978
97 O 0.3996 0.8221 0.1955
98 O 0.8985 0.8212 0.1955
99 O 0.0094 0.2020 0.1963
100 O 0.5142 0.2017 0.1964
101 O 0.0859 0.9715 0.1968
102 O 0.5897 0.9780 0.1952
103 O 0.4557 0.3659 0.6442
104 O 0.9550 0.3652 0.6442
105 O 0.2281 0.0888 0.6445
106 O 0.7283 0.0889 0.6443
107 O 0.3137 0.5384 0.6391
108 O 0.8139 0.5384 0.6388
109 O 0.4341 0.5110 0.1375
110 O 0.9546 0.5455 0.1443
111 O 0.3214 0.1321 0.1378
112 O 0.8147 0.0910 0.1387
113 O 0.2452 0.3593 0.1380
114 O 0.7269 0.3635 0.1440
115 O 0.2322 0.3093 0.0290
116 O 0.7350 0.3107 0.0344
117 O 0.4224 0.5339 0.0285
118 O 0.9216 0.5311 0.0346
119 O 0.3454 0.1545 0.0288
120 O 0.8450 0.1511 0.0291
121 O 0.2353 0.1583 0.5351
122 O 0.7356 0.1588 0.5347
123 O 0.3444 0.5374 0.5296
124 O 0.8445 0.5373 0.5292
125 O 0.4219 0.3144 0.5347
126 O 0.9216 0.3150 0.5344
127 O 0.2691 0.6880 0.9724
128 O 0.7650 0.6830 0.9706
129 O 0.0799 0.4700 0.9695
130 O 0.5755 0.4675 0.9678
131 O 0.1597 0.8459 0.9688
132 O 0.6552 0.8443 0.9692
133 O 0.2670 0.8491 0.4693
134 O 0.7686 0.8485 0.4692
135 O 0.1571 0.4643 0.4700
136 O 0.6552 0.4671 0.4660
137 O 0.0774 0.6867 0.4662
138 O 0.5748 0.6901 0.4697
139 O 0.0616 0.6399 0.3572
140 O 0.5626 0.6413 0.3617
141 O 0.2574 0.8747 0.3609
142 O 0.7570 0.8727 0.3613
143 O 0.1802 0.4865 0.3618
144 O 0.6795 0.4807 0.3574
145 O 0.0626 0.4836 0.8606
146 O 0.5614 0.4810 0.8587
147 O 0.1792 0.8756 0.8597
148 O 0.6795 0.8762 0.8604
149 O 0.2573 0.6433 0.8635
150 O 0.7575 0.6408 0.8624
151 O 0.0098 0.8236 0.4086
152 O 0.5071 0.8233 0.4104
153 O 0.4017 0.9804 0.4108
154 O 0.9035 0.9824 0.4096
155 O 0.0888 0.1944 0.4114
156 O 0.5866 0.1933 0.4082
157 O 0.0099 0.1956 0.9125
158 O 0.5086 0.1937 0.9114
159 O 0.0875 0.9783 0.9125
160 O 0.5881 0.9824 0.9117
161 O 0.4030 0.8250 0.9128
162 O 0.9017 0.8238 0.9131
163 O 0.4899 0.1666 0.5868
164 O 0.9898 0.1669 0.5866
165 O 0.0939 0.0208 0.5876
166 O 0.5941 0.0205 0.5874
167 O 0.4166 0.8128 0.5858
168 O 0.9163 0.8126 0.5858
169 O 0.4853 0.8018 0.0894
170 O 0.9917 0.8163 0.0865
171 O 0.4143 0.0251 0.0905
172 O 0.9171 0.0199 0.0850
173 O 0.0988 0.1744 0.0912
174 O 0.5927 0.1620 0.0857
175 O 0.3450 0.1531 0.7509
176 O 0.8452 0.1532 0.7510
177 O 0.2287 0.3002 0.7516
178 O 0.7288 0.3003 0.7515
179 O 0.4272 0.5302 0.7519
180 O 0.9272 0.5307 0.7521
181 O 0.3451 0.5290 0.2433
182 O 0.8457 0.5378 0.2506
183 O 0.4208 0.3127 0.2428
184 O 0.9264 0.3218 0.2528
185 O 0.2352 0.1579 0.2425
186 O 0.7288 0.1593 0.2522
187 O 0.3210 0.5012 0.9226
188 O 0.8210 0.4998 0.9239
189 O 0.4287 0.3575 0.9212
190 O 0.9313 0.3624 0.9245
191 O 0.2492 0.1404 0.9222
192 O 0.7494 0.1415 0.9236
193 O 0.3213 0.1428 0.4232
194 O 0.8220 0.1423 0.4229
195 O 0.2499 0.3560 0.4230
196 O 0.7478 0.3537 0.4227
197 O 0.4284 0.4998 0.4231
198 O 0.9297 0.4998 0.4221
199 O 0.1795 0.4966 0.0773
200 O 0.6678 0.4830 0.0715
201 O 0.0736 0.6578 0.0721
202 O 0.5688 0.6460 0.0769
203 O 0.2533 0.8631 0.0773
204 O 0.7560 0.8482 0.0702
205 O 0.1684 0.8503 0.5721
206 O 0.6695 0.8509 0.5717
207 O 0.2569 0.6671 0.5701
208 O 0.7564 0.6655 0.5696
209 O 0.0747 0.4882 0.5722
210 O 0.5755 0.4872 0.5719
211 O 0.1506 0.8312 0.2551
212 O 0.6492 0.8292 0.2558
213 O 0.2647 0.6931 0.2548
214 O 0.7621 0.6945 0.2557
215 O 0.0874 0.4774 0.2542
216 O 0.5837 0.4663 0.2568
217 O 0.1461 0.4673 0.7562
218 O 0.6463 0.4680 0.7559
219 O 0.0887 0.7061 0.7563
220 O 0.5889 0.7064 0.7561
221 O 0.2625 0.8289 0.7555
222 O 0.7626 0.8292 0.7554

***

| no. | formation energy (eV/f.u.) |
| --- | --- |
| 1 | -3.261 |
| 2 | -21.267 |
| 3 | -37.371 |
| 4 | -33.450 |
| 5 | -15.156 |
| 6 | -235.528 |